# 1
A plane-wave DFT calculation with meta-GGA r2SCAN was carried out for Rb2TlAuCl6 after structural relaxation.

Cell and atoms, written as POSCAR:
```
Rb2TlAuCl6
1.0
0.000 5.268 5.268
5.268 0.000 5.268
5.268 5.268 0.000
Rb Tl Au Cl
2 1 1 6
direct
0.250 0.250 0.250
0.750 0.750 0.750
0.000 0.000 0.000
0.500 0.500 0.500
0.255 0.255 0.745
0.255 0.745 0.255
0.255 0.745 0.745
0.745 0.255 0.255
0.745 0.255 0.745
0.745 0.745 0.255
```

## Properties
E_tot   -18.0934 eV/atom
Calculated formation energy   -12.39 eV per formula unit
Space-group type   No. 225


# 2
A plane-wave DFT calculation with meta-GGA r2SCAN was carried out for AuSCl5 after structural relaxation.

Cell and atoms, written as POSCAR:
```
AuSCl5
1.0
8.115 0.000 0.000
0.000 8.285 0.000
-5.645 0.000 11.870
Au S Cl
4 4 20
direct
0.089 0.169 0.155
0.089 0.331 0.655
0.911 0.669 0.345
0.911 0.831 0.845
0.235 0.223 0.038
0.235 0.277 0.538
0.765 0.723 0.462
0.765 0.777 0.962
0.078 0.614 0.246
0.078 0.886 0.746
0.171 0.659 0.515
0.171 0.841 0.015
0.240 0.035 0.545
0.240 0.465 0.045
0.349 0.191 0.318
0.349 0.309 0.818
0.498 0.165 0.117
0.498 0.335 0.617
0.502 0.665 0.383
0.502 0.835 0.883
0.651 0.691 0.182
0.651 0.809 0.682
0.760 0.535 0.955
0.760 0.965 0.455
0.829 0.159 0.985
0.829 0.341 0.485
0.922 0.114 0.254
0.922 0.386 0.754
```

## Properties
E_tot   -13.0674 eV/atom
Calculated formation energy   -2.09 eV per formula unit
Space-group type   No. 14


# 3
A plane-wave DFT calculation with meta-GGA r2SCAN was carried out for AuSCl7 after structural relaxation.

Cell and atoms, written as POSCAR:
```
AuSCl7
1.0
8.746 0.000 0.000
0.000 10.338 0.000
-3.433 0.000 11.268
Au S Cl
4 4 28
direct
0.215 0.097 0.031
0.215 0.403 0.531
0.785 0.597 0.469
0.785 0.903 0.969
0.235 0.704 0.985
0.235 0.796 0.485
0.765 0.204 0.515
0.765 0.296 0.015
0.058 0.240 0.425
0.058 0.260 0.925
0.091 0.603 0.852
0.091 0.897 0.352
0.126 0.538 0.368
0.126 0.962 0.868
0.305 0.234 0.189
0.305 0.266 0.689
0.306 0.572 0.115
0.306 0.928 0.615
0.378 0.562 0.638
0.378 0.938 0.138
0.430 0.716 0.926
0.430 0.784 0.426
0.570 0.216 0.574
0.570 0.284 0.074
0.622 0.062 0.862
0.622 0.438 0.362
0.694 0.072 0.385
0.694 0.428 0.885
0.695 0.734 0.311
0.695 0.766 0.811
0.874 0.038 0.132
0.874 0.462 0.632
0.909 0.103 0.648
0.909 0.397 0.148
0.942 0.740 0.075
0.942 0.760 0.575
```

## Properties
E_tot   -11.5844 eV/atom
Calculated formation energy   -2.57 eV per formula unit
Space-group type   No. 14


What is the formula in the third record? AuSCl7


What is the formula in the second record? AuSCl5


Number 2 is which compound? AuSCl5